{
  "formula": "CeThS2",
  "functional": "PBE-GGA",
  "state": "optimized geometry",
  "cell": [[-1.871, -3.454, -0.926], [1.144, -1.568, 3.538], [-4.778, 1.943, 2.406]],
  "species": ["Ce", "Th", "S", "S"],
  "fractional_positions": [[0.000, 0.000, 0.000], [0.500, 0.500, 0.500], [0.000, 0.000, 0.500], [0.500, 0.500, 0.000]],
  "delta_e_f_ev_per_atom": -2.20,
  "crystal_system": "tetragonal"
}